The following is a DFT calculation (GGA+U) of crystalline Li4Ni3P4O15 at its relaxed geometry.

Values from the calculation:
Calculated volume ... 11.181 Å³ per atom
Uncorrected energy ... -661.1 eV/cell
Energy of formation from the pure elements ... -6016 kJ/mol of formula units

The structure in POSCAR format:
```
Li4Ni3P4O15
1.0
17.493 0.000 0.000
0.000 10.326 0.000
0.000 0.000 6.437
Li Ni P O
16 12 16 60
Direct
0.001 0.019 0.000
0.032 0.453 0.883
0.098 0.677 0.605
0.209 0.268 0.058
0.291 0.768 0.558
0.402 0.177 0.105
0.468 0.953 0.383
0.499 0.519 0.500
0.501 0.481 0.000
0.532 0.047 0.883
0.598 0.823 0.605
0.709 0.232 0.058
0.791 0.732 0.558
0.902 0.323 0.105
0.968 0.547 0.383
0.999 0.981 0.500
0.132 0.012 0.255
0.171 0.500 0.270
0.236 0.758 0.997
0.264 0.258 0.497
0.329 0.000 0.770
0.368 0.512 0.755
0.632 0.488 0.255
0.671 0.000 0.270
0.736 0.742 0.997
0.764 0.242 0.497
0.829 0.500 0.770
0.868 0.988 0.755
0.049 0.280 0.305
0.063 0.740 0.131
0.172 0.019 0.751
0.209 0.495 0.765
0.291 0.995 0.265
0.328 0.519 0.251
0.437 0.240 0.631
0.451 0.780 0.805
0.549 0.220 0.305
0.563 0.760 0.131
0.672 0.481 0.751
0.709 0.005 0.765
0.791 0.505 0.265
0.828 0.981 0.251
0.937 0.260 0.631
0.951 0.720 0.805
0.004 0.377 0.171
0.019 0.310 0.543
0.032 0.137 0.260
0.048 0.874 0.224
0.081 0.637 0.298
0.118 0.005 0.564
0.120 0.736 0.950
0.124 0.045 0.946
0.134 0.310 0.307
0.156 0.516 0.580
0.160 0.458 0.955
0.225 0.896 0.767
0.229 0.888 0.230
0.233 0.132 0.732
0.240 0.120 0.288
0.260 0.620 0.788
0.267 0.632 0.232
0.271 0.388 0.730
0.275 0.396 0.267
0.340 0.958 0.455
0.344 0.016 0.080
0.366 0.810 0.807
0.376 0.545 0.446
0.380 0.236 0.450
0.382 0.505 0.064
0.419 0.137 0.798
0.452 0.374 0.724
0.468 0.637 0.760
0.481 0.810 0.043
0.496 0.877 0.671
0.504 0.123 0.171
0.519 0.190 0.543
0.532 0.363 0.260
0.548 0.626 0.224
0.581 0.863 0.298
0.618 0.495 0.564
0.620 0.764 0.950
0.624 0.455 0.946
0.634 0.190 0.307
0.656 0.984 0.580
0.660 0.042 0.955
0.725 0.604 0.767
0.729 0.612 0.230
0.733 0.368 0.732
0.740 0.380 0.288
0.760 0.880 0.788
0.767 0.868 0.232
0.771 0.112 0.730
0.775 0.104 0.267
0.840 0.542 0.455
0.844 0.484 0.080
0.866 0.690 0.807
0.876 0.955 0.446
0.880 0.264 0.450
0.882 0.995 0.064
0.919 0.363 0.798
0.952 0.126 0.724
0.968 0.863 0.760
0.981 0.690 0.043
0.996 0.623 0.671
```